Entry 1:
Computed, not measured: crystalline LiFeAs at its relaxed geometry at the GGA-PBE level of DFT.

## Properties
E_form: 1.941 kcal/mol of atoms
V: 14.18 A^3/atom
total moment: 4.91 μB/cell
uncorrected energy: -29.6 eV for the cell shown
crystal system: hexagonal

Geometry as CIF:
```
data_LiFeAs
_chemical_formula_sum 'Li2 Fe2 As2'
_cell_length_a 4.3701
_cell_length_b 4.3701
_cell_length_c 5.1435
_cell_angle_alpha 90.00
_cell_angle_beta 90.00
_cell_angle_gamma 120.00
_space_group_name_H-M_alt 'P 63/m m c'
_space_group_IT_number 194
_space_group_name_Hall '-P 6c 2c'
loop_
_atom_site_label
_atom_site_fract_x
_atom_site_fract_y
_atom_site_fract_z
_atom_site_occupancy
Li1 0.3333 0.6667 0.2500 1
Fe1 0.0000 0.0000 0.2500 1
As1 0.3333 0.6667 0.7500 1
```



Entry 2:
Computed, not measured: crystalline Ba6Gd2Ga4O15 at its relaxed geometry at the GGA-PBE level of DFT.

## Properties
E_form: -68.585 kcal/mol of atoms
V: 17.12 A^3/atom
total moment: 28.00 μB/cell
uncorrected energy: -392.0 eV for the cell shown
crystal system: monoclinic
energy with MP2020 corrections: -7.64 eV/atom

Geometry as CIF:
```
data_Ba6Gd2Ga4O15
_chemical_formula_sum 'Ba12 Gd4 Ga8 O30'
_cell_length_a 8.1038
_cell_length_b 6.0868
_cell_length_c 18.7447
_cell_angle_alpha 90.00
_cell_angle_beta 91.09
_cell_angle_gamma 90.00
_space_group_name_H-M_alt 'P 1 2/c 1'
_space_group_IT_number 13
_space_group_name_Hall '-P 2yc'
loop_
_atom_site_label
_atom_site_fract_x
_atom_site_fract_y
_atom_site_fract_z
_atom_site_occupancy
Ba1 0.0000 0.1661 0.2500 1
Ba2 0.0017 0.2567 0.5790 1
Ba3 0.4703 0.2424 0.9099 1
Ba4 0.5000 0.2231 0.2500 1
Gd1 0.2514 0.2441 0.0902 1
Ga1 0.2535 0.2530 0.4405 1
Ga2 0.2705 0.2766 0.7351 1
O1 0.0345 0.2567 0.4066 1
O2 0.1899 0.1753 0.8192 1
O3 0.2264 0.4542 0.1925 1
O4 0.2473 0.0541 0.6651 1
O5 0.2629 0.5003 0.0028 1
O6 0.2653 0.0019 0.4995 1
O7 0.4514 0.2605 0.3900 1
O8 0.5000 0.2908 0.7500 1
```



Entry 3:
Computed, not measured: crystalline U2CuSi3 at its relaxed geometry at the GGA-PBE level of DFT.

## Properties
E_form: -5.433 kcal/mol of atoms
V: 18.24 A^3/atom
polymorph energy (0 for the lowest one): 0.000 eV per atom
total moment: 9.53 μB/cell
uncorrected energy: -89.2 eV for the cell shown
crystal system: orthorhombic
energy with MP2020 corrections: -7.40 eV/atom

Geometry as CIF:
```
data_U2CuSi3
_chemical_formula_sum 'U4 Cu2 Si6'
_cell_length_a 3.9551
_cell_length_b 3.9964
_cell_length_c 13.8460
_cell_angle_alpha 90.00
_cell_angle_beta 90.00
_cell_angle_gamma 90.00
_space_group_name_H-M_alt 'I m m 2'
_space_group_IT_number 44
_space_group_name_Hall 'I 2 -2'
loop_
_atom_site_label
_atom_site_fract_x
_atom_site_fract_y
_atom_site_fract_z
_atom_site_occupancy
U1 0.0000 0.0000 0.0000 1
U2 0.0000 0.5000 0.2625 1
Cu1 0.0000 0.5000 0.6697 1
Si1 0.0000 0.0000 0.4224 1
Si2 0.0000 0.0000 0.5915 1
Si3 0.0000 0.5000 0.8338 1
```



Entry 4:
Computed, not measured: crystalline Li2H6Pt at its relaxed geometry at the GGA-PBE level of DFT.

## Properties
E_form: -8.199 kcal/mol of atoms
V: 8.55 A^3/atom
uncorrected energy: -133.8 eV for the cell shown
crystal system: cubic

Geometry as CIF:
```
data_Li2H6Pt
_chemical_formula_sum 'Li8 H24 Pt4'
_cell_length_a 6.7516
_cell_length_b 6.7516
_cell_length_c 6.7516
_cell_angle_alpha 90.00
_cell_angle_beta 90.00
_cell_angle_gamma 90.00
_space_group_name_H-M_alt 'F m -3 m'
_space_group_IT_number 225
_space_group_name_Hall '-F 4 2 3'
loop_
_atom_site_label
_atom_site_fract_x
_atom_site_fract_y
_atom_site_fract_z
_atom_site_occupancy
Li1 0.2500 0.2500 0.2500 1
H1 0.0000 0.0000 0.2440 1
Pt1 0.0000 0.0000 0.0000 1
```



Entry 5:
Computed, not measured: crystalline KLiSb3O8 at its relaxed geometry at the GGA-PBE level of DFT.

## Properties
E_form: -44.710 kcal/mol of atoms
V: 13.81 A^3/atom
polymorph energy (0 for the lowest one): 0.000 eV per atom
total moment: 1.00 μB/cell
uncorrected energy: -224.1 eV for the cell shown
crystal system: triclinic
energy with MP2020 corrections: -6.17 eV/atom

Geometry as CIF:
```
data_KLiSb3O8
_chemical_formula_sum 'K3 Li3 Sb9 O24'
_cell_length_a 8.8037
_cell_length_b 8.8068
_cell_length_c 8.9649
_cell_angle_alpha 108.20
_cell_angle_beta 107.47
_cell_angle_gamma 112.08
_space_group_name_H-M_alt 'P 1'
_space_group_IT_number 1
_space_group_name_Hall 'P 1'
loop_
_atom_site_label
_atom_site_fract_x
_atom_site_fract_y
_atom_site_fract_z
_atom_site_occupancy
K1 0.0000 0.0000 0.0000 1
K2 0.2971 0.2631 0.9121 1
K3 0.6558 0.6511 0.0216 1
Li1 0.3854 0.1857 0.5257 1
Li2 0.4333 0.9571 0.7302 1
Li3 0.9986 0.7990 0.5247 1
Sb1 0.9996 0.1216 0.4608 1
Sb2 0.1358 0.6489 0.8068 1
Sb3 0.1582 0.8023 0.3007 1
Sb4 0.3162 0.5089 0.5010 1
Sb5 0.4911 0.9786 0.1494 1
Sb6 0.6511 0.8441 0.5002 1
Sb7 0.6572 0.4771 0.4748 1
Sb8 0.8171 0.3304 0.8070 1
Sb9 0.8305 0.3173 0.1495 1
O1 0.0402 0.3236 0.3309 1
O2 0.2473 0.9654 0.5540 1
O3 0.2781 0.9373 0.9368 1
O4 0.2830 0.6821 0.6719 1
O5 0.2917 0.3468 0.6184 1
O6 0.3585 0.6986 0.0081 1
O7 0.3645 0.6895 0.3949 1
O8 0.3645 0.0065 0.2921 1
O9 0.3781 0.3447 0.3478 1
O10 0.6184 0.6820 0.6403 1
O11 0.6414 0.3501 0.6229 1
O12 0.6492 0.0484 0.6717 1
O13 0.6528 0.2799 0.2732 1
O14 0.6579 0.3161 0.9363 1
O15 0.6625 0.6291 0.3476 1
O16 0.6662 0.9489 0.3297 1
O17 0.6724 0.0369 0.0500 1
O18 0.9305 0.9854 0.6185 1
O19 0.9322 0.6412 0.6230 1
O20 0.9435 0.5866 0.2899 1
O21 0.9687 0.3077 0.0075 1
O22 0.9830 0.6193 0.9433 1
O23 0.9977 0.3663 0.7048 1
O24 0.9988 0.9204 0.2597 1
```



Entry 6:
Computed, not measured: crystalline LaInO3 at its relaxed geometry at the GGA-PBE level of DFT.

## Properties
E_form: -67.563 kcal/mol of atoms
V: 14.48 A^3/atom
uncorrected energy: -140.5 eV for the cell shown
crystal system: orthorhombic
energy with MP2020 corrections: -7.44 eV/atom

Geometry as CIF:
```
data_LaInO3
_chemical_formula_sum 'La4 In4 O12'
_cell_length_a 6.0091
_cell_length_b 8.3516
_cell_length_c 5.7712
_cell_angle_alpha 90.00
_cell_angle_beta 90.00
_cell_angle_gamma 90.00
_space_group_name_H-M_alt 'P n m a'
_space_group_IT_number 62
_space_group_name_Hall '-P 2ac 2n'
loop_
_atom_site_label
_atom_site_fract_x
_atom_site_fract_y
_atom_site_fract_z
_atom_site_occupancy
La1 0.0550 0.2500 0.0171 1
In1 0.0000 0.0000 0.5000 1
O1 0.0503 0.7500 0.3804 1
O2 0.1973 0.5635 0.8052 1
```



> What is the formula in the fourth record?

Li2H6Pt



> Look up the V of the second one.

17.12 A^3/atom